[1]
# Li2P2WO8 | the Materials Project database | PBE with a Hubbard U | relaxed
data_Li2P2WO8
_cell_length_a 5.1249
_cell_length_b 8.0951
_cell_length_c 9.1366
_cell_angle_alpha 90.00
_cell_angle_beta 121.94
_cell_angle_gamma 90.00
_symmetry_space_group_name_H-M 'P 1 21/c 1'
_symmetry_Int_Tables_number 14
loop_
_symmetry_equiv_pos_as_xyz
'x,y,z'
'-x,-y,-z'
'-x,y+1/2,-z+1/2'
'x,-y+1/2,z+1/2'
loop_
_atom_site_label
_atom_site_type_symbol
_atom_site_fract_x
_atom_site_fract_y
_atom_site_fract_z
Li1 Li 0.0102 0.1303 0.4116
P1 P 0.3304 0.1938 0.7973
W1 W 0.0000 0.0000 0.0000
O1 O 0.1881 0.0724 0.6514
O2 O 0.2019 0.1258 0.2343
O3 O 0.2639 0.1578 0.9419
O4 O 0.3082 0.6937 0.6141
# Formation energy ... -2.593 eV per atom
# Crystal system ... monoclinic
# E ... -6.997 eV/atom
# Polymorph energy (0 for the lowest one) ... 0.0000 eV/atom
# MP2020-corrected energy ... -201.8 eV for the cell shown

[2]
# LiP3W2O13 | the Materials Project database | PBE with a Hubbard U | relaxed
data_LiP3W2O13
_cell_length_a 6.4890
_cell_length_b 19.0437
_cell_length_c 9.8219
_cell_angle_alpha 90.00
_cell_angle_beta 107.12
_cell_angle_gamma 90.00
_symmetry_space_group_name_H-M 'P 1 21 1'
_symmetry_Int_Tables_number 4
loop_
_symmetry_equiv_pos_as_xyz
'x,y,z'
'-x,y+1/2,-z'
loop_
_atom_site_label
_atom_site_type_symbol
_atom_site_fract_x
_atom_site_fract_y
_atom_site_fract_z
Li1 Li 0.1848 0.0000 0.1199
Li2 Li 0.2344 0.7704 0.5300
P1 P 0.0201 0.8580 0.7930
P2 P 0.0917 0.5933 0.4646
P3 P 0.2443 0.2325 0.2027
P4 P 0.2570 0.2979 0.8087
P5 P 0.4090 0.9372 0.5274
P6 P 0.4793 0.6726 0.1968
W1 W 0.0668 0.1383 0.8930
W2 W 0.1321 0.4279 0.5736
W3 W 0.3704 0.1052 0.4438
W4 W 0.4377 0.3928 0.1203
O1 O 0.0222 0.3731 0.3654
O2 O 0.0261 0.2744 0.1988
O3 O 0.0400 0.6313 0.3207
O4 O 0.0643 0.1192 0.4543
O5 O 0.0753 0.0499 0.9484
O6 O 0.0827 0.5137 0.4392
O7 O 0.1031 0.2469 0.8490
O8 O 0.1212 0.3962 0.1307
O9 O 0.1535 0.3252 0.6557
O10 O 0.1694 0.1716 0.1014
O11 O 0.1844 0.9139 0.4315
O12 O 0.1966 0.4778 0.7292
O13 O 0.2424 0.6645 0.1123
O14 O 0.2556 0.8657 0.8824
O15 O 0.2982 0.0529 0.2880
O16 O 0.3156 0.6206 0.5548
O17 O 0.3299 0.3588 0.9109
O18 O 0.3427 0.2056 0.3565
O19 O 0.3790 0.1356 0.8797
O20 O 0.4031 0.2817 0.1643
O21 O 0.4210 0.0153 0.5699
O22 O 0.4363 0.4170 0.5586
O23 O 0.4501 0.4821 0.0878
O24 O 0.4563 0.8902 0.6613
O25 O 0.4713 0.1550 0.6450
O26 O 0.4746 0.2563 0.8084
# Formation energy ... -2.450 eV per atom
# Crystal system ... monoclinic
# E ... -7.218 eV/atom
# Polymorph energy (0 for the lowest one) ... 0.0277 eV/atom
# MP2020-corrected energy ... -619.8 eV for the cell shown

[3]
# LiP3W2O13 | the Materials Project database | PBE with a Hubbard U | relaxed
data_LiP3W2O13
_cell_length_a 6.8879
_cell_length_b 8.7652
_cell_length_c 8.9458
_cell_angle_alpha 90.00
_cell_angle_beta 94.40
_cell_angle_gamma 90.00
_symmetry_space_group_name_H-M 'P 1 2/c 1'
_symmetry_Int_Tables_number 13
loop_
_symmetry_equiv_pos_as_xyz
'x,y,z'
'-x,-y,-z'
'-x,y,-z+1/2'
'x,-y,z+1/2'
loop_
_atom_site_label
_atom_site_type_symbol
_atom_site_fract_x
_atom_site_fract_y
_atom_site_fract_z
Li1 Li 0.0000 0.1428 0.2500
P1 P 0.3376 0.4318 0.8382
P2 P 0.5000 0.0412 0.2500
W1 W 0.2664 0.2381 0.5183
O1 O 0.0233 0.1807 0.4675
O2 O 0.2149 0.4469 0.4079
O3 O 0.2164 0.3386 0.7196
O4 O 0.3495 0.1428 0.3224
O5 O 0.3813 0.0551 0.6319
O6 O 0.4476 0.3281 0.9533
O7 O 0.5000 0.4786 0.2500
# Formation energy ... -2.462 eV per atom
# Crystal system ... monoclinic
# E ... -7.229 eV/atom
# Polymorph energy (0 for the lowest one) ... 0.0157 eV/atom
# MP2020-corrected energy ... -310.3 eV for the cell shown

Question: Which of these has the lowest MP2020-corrected energy?
Answer: number 2

Question: Among the records above, which one has the highest E?
Answer: Li2P2WO8

Question: Among the records above, which one has the highest formation energy?
Answer: number 2

Question: Which value of formation energy does entry 1 give?
Answer: -2.593 eV per atom